[1]
Below is Ba2YMgBiO6 after structural relaxation, with properties calculated at the PBE-GGA level.

```
11
Lattice="-3.369 -4.765 -2.214 2.002 -6.178 1.452 -3.195 -3.862 4.376" Properties=species:S:1:pos:R:3 pbc="T T T"
O -2.000 -9.185 0.562
Ba -1.265 -3.400 0.445
Bi 0.000 0.000 0.000
O -2.813 -6.114 -0.158
Ba -3.297 -11.405 3.169
Y -2.281 -7.402 1.807
Mg -0.597 -5.020 2.914
O -0.217 -6.664 1.733
O -1.749 -8.691 3.772
O -2.562 -5.620 3.053
O -4.345 -8.141 1.881
```

Calculated values
The calculation puts the relative energy among the computed polymorphs at 149 meV per atom. The calculation puts the total DFT energy (no corrections) at -6.306 eV per atom. As for the space group: Immm. For the volume, the calculation gives 17.90 Å³ per atom.

***

[2]
Below is UP4S12 after structural relaxation, with properties calculated at the PBE-GGA level.

```
34
Lattice="5.218 -9.055 -1.835 -4.700 2.455 9.191 -8.214 -0.674 -6.684" Properties=species:S:1:pos:R:3 pbc="T T T"
S -2.234 -3.393 -3.286
P -7.446 -0.583 -3.256
P -3.849 -4.509 -3.704
S -5.545 -3.985 -2.508
S 1.125 -6.422 4.544
S -6.357 -1.529 -4.651
S 0.989 -5.854 -2.670
U -6.327 -0.760 3.093
S -4.149 -4.450 -5.692
U 0.000 0.000 0.000
S -8.305 -1.874 -1.773
S -3.778 -6.505 -2.918
S -1.808 -7.256 2.266
S -2.098 -3.961 3.928
P -0.607 -6.353 0.929
S -3.701 -0.850 4.164
S 0.699 -2.559 -1.008
P -3.841 -2.836 4.455
S -3.591 -8.497 -6.033
P -5.474 -5.980 -1.722
P -7.094 -0.851 -0.335
S -5.732 -1.993 0.608
S 0.520 -7.765 0.053
S -8.184 0.095 1.060
P -0.503 -3.462 0.329
S -5.173 -6.039 0.266
S -1.629 -2.051 1.205
S 2.592 -8.965 -2.906
S -8.530 -4.548 0.248
S -1.017 -8.616 -3.653
S 0.557 -4.730 1.698
S -1.667 -5.085 -0.440
P -1.968 -4.524 5.995
S -5.492 -3.486 3.518
```

Calculated values
The calculation puts the total DFT energy (no corrections) at -5.241 eV per atom. As for the space group: I4_1/a. For the volume, the calculation gives 25.65 Å³ per atom.

***

[3]
Below is K2GaB5H8O14 after structural relaxation, with properties calculated at the PBE-GGA level.

```
60
Lattice="-5.201 2.572 3.994 -4.970 -3.480 -3.578 1.333 -10.910 8.761" Properties=species:S:1:pos:R:3 pbc="T T T"
B -1.034 -10.317 8.047
B -1.493 -6.452 5.280
O -2.889 -9.531 6.085
H -4.523 -2.032 2.889
H -5.471 -9.209 4.485
O -1.126 -8.988 7.703
O -0.295 -2.784 2.216
H -4.202 -5.569 9.785
H -4.735 -5.445 -1.254
O -8.544 -9.035 6.961
K -6.987 -6.682 7.019
O -6.899 -2.049 -0.097
O -8.006 -6.327 4.475
O -4.369 -7.232 2.934
H -4.364 -4.276 1.882
O -5.878 -2.870 3.560
K -1.923 -3.293 4.464
Ga -4.503 -3.708 7.343
K -2.164 -2.586 0.111
B -2.059 -8.456 6.696
H -4.840 -0.925 6.054
Ga -5.002 -2.656 -2.546
B -3.244 -6.238 6.982
H -4.763 -7.413 3.816
B -5.673 -3.538 4.750
B -7.798 -1.665 0.926
O -2.440 -5.674 5.985
H -4.368 -8.419 7.999
O -3.478 -4.668 2.136
O -3.744 -1.491 2.567
O -5.150 -8.875 8.427
O -6.455 -4.659 5.051
O -5.136 0.868 1.863
H -3.580 -0.876 3.299
O -0.182 -10.811 8.975
H -4.619 0.036 1.794
H -3.900 -11.698 3.770
O -5.305 -8.602 5.225
O -4.243 -5.533 7.573
O -4.962 -3.291 -0.800
O -1.320 -7.774 5.621
O -5.896 -3.697 1.329
B -6.780 -3.363 2.481
O -8.669 -0.678 0.615
O -7.733 -2.292 2.149
K -6.605 -11.076 6.761
O -3.014 -7.539 7.380
O -4.718 -3.089 5.604
H -3.267 -5.250 1.389
B -2.852 -10.850 6.491
B -5.909 -3.011 0.131
O -3.755 -11.725 5.978
H -5.360 -8.302 9.181
O -0.820 -5.821 4.290
B -7.352 -5.203 4.102
H -4.293 -9.940 9.778
O -7.498 -4.584 2.882
H -4.003 -6.320 2.966
H -4.422 -8.910 5.584
O -1.883 -11.256 7.415
```

Calculated values
The calculation puts the total DFT energy (no corrections) at -6.319 eV per atom. As for the space group: C222_1. For the volume, the calculation gives 11.61 Å³ per atom.

***

[4]
Below is Ba3Y2F12 after structural relaxation, with properties calculated at the PBE-GGA level.

```
34
Lattice="9.832 0.000 0.000 0.000 9.832 0.000 0.000 0.000 5.805" Properties=species:S:1:pos:R:3 pbc="T T T"
Y 3.608 1.308 0.000
F 7.832 6.917 0.000
Y 6.225 8.524 0.000
Ba 8.070 6.679 2.902
F 2.916 7.832 0.000
F 0.545 7.660 1.511
F 0.000 4.916 4.451
Y 8.524 3.608 0.000
F 4.371 2.744 4.294
Ba 4.916 4.916 0.000
F 2.000 2.916 0.000
F 0.545 7.660 4.294
Ba 6.679 1.763 2.902
Ba 3.153 8.070 2.902
F 4.371 2.744 1.511
Ba 1.763 3.153 2.902
F 0.000 4.916 1.354
F 9.287 2.172 4.294
F 5.461 7.088 1.511
F 4.916 0.000 1.354
F 6.917 2.000 0.000
F 2.744 5.461 4.294
F 7.660 9.287 1.511
F 5.461 7.088 4.294
F 2.172 0.545 1.511
F 7.088 4.371 4.294
F 2.172 0.545 4.294
F 2.744 5.461 1.511
F 7.660 9.287 4.294
F 7.088 4.371 1.511
Ba 0.000 0.000 0.000
F 9.287 2.172 1.511
Y 1.308 6.225 0.000
F 4.916 0.000 4.451
```

Calculated values
The calculation puts the relative energy among the computed polymorphs at 0 meV per atom. The calculation puts the total DFT energy (no corrections) at -6.417 eV per atom. As for the space group: P4/mbm. For the volume, the calculation gives 16.50 Å³ per atom.

***

[5]
Below is Mg14BSb after structural relaxation, with properties calculated at the PBE-GGA level.

```
16
Lattice="-6.031 -1.272 1.249 2.926 -2.957 -4.717 2.855 -7.301 6.347" Properties=species:S:1:pos:R:3 pbc="T T T"
Mg -2.689 -2.758 0.041
Mg -1.240 -4.222 -2.295
Mg -0.475 -3.557 1.913
Mg 1.031 -7.409 5.261
Mg -0.579 -9.413 3.444
Mg 2.478 -8.871 2.927
Mg -3.523 -4.200 2.544
Mg 0.204 -7.876 0.867
Mg -2.002 -5.776 0.282
Mg 0.972 -5.020 -0.421
Mg -2.017 -8.051 5.892
B 0.327 -2.110 -0.571
Sb 1.755 -5.761 2.603
Mg -1.261 -6.395 3.230
Mg 3.215 -7.240 0.244
Mg 1.804 -3.580 -2.926
```

Calculated values
The calculation puts the total DFT energy (no corrections) at -1.926 eV per atom. As for the space group: P-6m2. For the volume, the calculation gives 21.59 Å³ per atom.

***

[6]
Below is K5P2Au after structural relaxation, with properties calculated at the PBE-GGA level.

```
16
Lattice="-4.422 3.400 -1.203 2.020 -0.275 5.330 11.925 14.172 -3.787" Properties=species:S:1:pos:R:3 pbc="T T T"
K 11.225 14.442 -0.453
K 7.679 9.126 -2.439
K 8.816 11.579 0.312
K 3.115 8.581 -0.737
K -1.703 2.855 0.793
P 4.375 6.301 1.722
K 0.706 5.718 0.028
P 1.332 2.684 2.689
K 6.407 8.716 1.077
Au 2.854 4.493 2.205
Au 6.668 12.804 -1.866
P 5.147 10.995 -1.382
P 8.190 14.612 -2.349
K 10.208 12.132 -3.242
K 1.717 2.040 -0.545
K 4.246 5.046 -1.348
```

Calculated values
The calculation puts the total DFT energy (no corrections) at -2.829 eV per atom. As for the space group: P6_3/mmc. For the volume, the calculation gives 33.32 Å³ per atom.

***

[7]
Below is TaN2 after structural relaxation, with properties calculated at the PBE-GGA level.

```
6
Lattice="-1.850 1.732 1.733 -0.086 -3.059 0.247 5.453 0.293 5.527" Properties=species:S:1:pos:R:3 pbc="T T T"
Ta 0.102 0.208 2.619
N 4.958 0.266 5.025
Ta 3.416 -1.242 4.888
N 3.222 0.173 3.265
N 2.231 0.120 2.262
N 0.495 0.027 0.502
```

Calculated values
The calculation puts the total DFT energy (no corrections) at -9.962 eV per atom. As for the space group: P6_3/mmc. For the volume, the calculation gives 10.57 Å³ per atom.

***

[8]
Below is Zr3Sb after structural relaxation, with properties calculated at the PBE-GGA level.

```
16
Lattice="8.118 -0.145 -2.771 -5.949 -5.095 3.501 -3.642 0.532 -7.749" Properties=species:S:1:pos:R:3 pbc="T T T"
Zr -4.738 -4.391 -5.703
Zr -6.104 -2.802 -3.001
Zr -1.290 -3.134 -5.873
Zr 1.055 -4.566 -0.729
Sb -1.907 -3.823 -0.525
Zr 1.418 -0.092 -3.846
Zr 4.532 -1.665 -4.052
Zr -1.880 0.201 -4.704
Zr -2.792 -4.856 -3.139
Sb -3.471 -2.177 -4.168
Zr 1.716 -0.712 -0.609
Zr 4.401 -3.062 -0.933
Sb 2.109 -2.798 -2.814
Sb 0.323 -0.617 -6.532
Zr -0.730 -2.163 -2.698
Zr -4.428 -1.003 -6.828
```

Calculated values
The calculation puts the total DFT energy (no corrections) at -7.941 eV per atom. As for the space group: I-4. For the volume, the calculation gives 23.38 Å³ per atom.

***

[9]
Below is Tl4CrI6 after structural relaxation, with properties calculated at the PBE-GGA level.

```
22
Lattice="-1.311 -5.316 7.554 9.187 -1.544 0.508 1.024 8.003 5.809" Properties=species:S:1:pos:R:3 pbc="T T T"
I 1.063 -3.698 4.907
I 8.067 1.106 5.562
I 6.813 -3.162 3.156
I 0.229 1.794 1.302
Tl 2.367 -3.067 8.062
I 5.868 -1.684 9.793
I 0.832 0.037 8.310
Cr 0.512 4.001 2.905
Tl 7.226 -2.762 6.785
Tl 1.161 -0.096 4.182
I 3.031 2.827 4.079
Tl 6.021 0.209 2.905
Cr 3.938 -3.430 4.031
Tl 2.879 0.935 10.966
I 4.799 -5.200 6.318
Tl 1.673 3.905 7.086
I 4.679 2.365 8.238
I 0.794 6.209 4.507
I 3.076 -1.660 1.744
Tl 7.738 1.239 9.690
I 4.220 -1.222 5.634
Tl 6.532 4.210 5.810
```

Calculated values
The calculation puts the relative energy among the computed polymorphs at 7 meV per atom. The calculation puts the total DFT energy (no corrections) at -3.121 eV per atom. As for the space group: P4/mnc. For the volume, the calculation gives 39.34 Å³ per atom.

***

[10]
Below is NaAl3NiCl12 after structural relaxation, with properties calculated at the PBE-GGA level.

```
68
Lattice="-7.510 -5.006 8.228 7.763 -9.989 1.008 9.033 2.947 10.037" Properties=species:S:1:pos:R:3 pbc="T T T"
Al -3.532 -5.881 11.088
Cl 8.981 -6.002 7.224
Cl -0.105 -3.895 3.660
Cl 1.694 -9.703 12.155
Cl 6.082 -8.347 7.461
Al 10.010 -2.211 12.266
Cl 2.178 -13.811 9.039
Ni 5.721 -8.086 5.056
Cl 3.622 -1.540 14.495
Cl 8.094 -8.078 4.553
Cl 7.593 -2.345 7.118
Cl 2.181 -4.438 6.275
Ni 3.566 -3.962 14.217
Cl 12.537 -8.278 7.981
Cl 6.206 -4.917 10.161
Cl 5.907 -4.099 13.637
Cl 3.565 -2.031 8.402
Cl 5.987 -5.657 5.230
Cl -3.250 -3.769 11.293
Cl 9.781 -1.605 10.226
Al 1.134 -6.049 14.026
Cl 3.081 -7.131 9.112
Cl 7.422 -10.671 16.734
Cl 9.057 -8.950 10.270
Al 7.564 -9.344 11.738
Cl 3.205 -3.701 11.812
Cl 4.190 -4.039 16.555
Cl 11.608 -5.370 9.751
Al 3.907 -8.504 7.694
Cl 6.286 -7.346 16.333
Cl 5.980 -1.539 11.161
Cl 5.722 -10.017 10.871
Cl 5.097 -8.009 2.718
Cl 11.793 -7.846 12.778
Al 8.153 -5.999 5.247
Al 1.723 -2.703 7.535
Cl 1.008 -1.394 5.929
Ni 7.263 -9.079 14.923
Cl 1.192 -3.970 14.721
Cl 0.305 -6.046 12.049
Na 4.344 0.457 9.541
Cl 4.236 -1.996 4.727
Cl 7.108 1.763 10.234
Na 8.861 -4.114 9.349
Cl -2.321 -6.678 9.522
Cl -2.507 -4.202 6.495
Ni 2.023 -2.969 4.351
Cl 9.391 -8.153 15.613
Al 13.844 -7.236 12.821
Cl 5.051 -10.052 14.547
Cl -0.494 -10.443 9.047
Cl 1.865 -1.377 2.539
Cl 7.106 -7.610 12.998
Cl -0.164 -7.791 6.849
Cl 3.379 -7.949 5.637
Al -0.723 -9.837 7.007
Cl 3.000 -4.702 2.940
Cl 5.664 -10.508 4.778
Al 5.379 -3.544 11.580
Al -4.558 -4.811 6.452
Na 0.426 -7.934 9.924
Cl 9.451 -4.257 12.425
Cl 8.278 -10.653 13.344
Cl 3.299 -6.391 14.044
Cl 0.229 -3.098 9.003
Na 4.943 -12.505 9.732
Al 12.819 -6.167 8.185
Cl 3.307 -10.508 8.112
```

Calculated values
The calculation puts the total DFT energy (no corrections) at -3.791 eV per atom. As for the space group: P2_1/c. For the volume, the calculation gives 30.15 Å³ per atom.

***

[11]
Below is TaNbTc2 after structural relaxation, with properties calculated at the PBE-GGA level.

```
4
Lattice="2.232 -3.891 -0.525 0.172 -2.980 3.390 -2.279 -3.888 -0.294" Properties=species:S:1:pos:R:3 pbc="T T T"
Tc 0.031 -2.690 0.643
Nb 0.062 -5.380 1.286
Tc 0.093 -8.070 1.928
Ta 0.000 0.000 0.000
```

Calculated values
The calculation puts the total DFT energy (no corrections) at -11.085 eV per atom. As for the space group: Fm-3m. For the volume, the calculation gives 16.29 Å³ per atom.

***

[12]
Below is BaMg6Ti after structural relaxation, with properties calculated at the PBE-GGA level.

```
8
Lattice="0.116 5.317 4.085 -4.966 -0.714 -4.451 -2.822 -2.689 3.580" Properties=species:S:1:pos:R:3 pbc="T T T"
Ti -3.051 1.889 2.927
Mg -5.370 1.578 0.865
Mg -5.538 -1.063 -1.251
Mg -0.862 1.736 0.625
Mg -3.267 1.302 -1.598
Mg -3.084 -0.591 1.037
Mg -3.128 3.887 0.454
Ba -0.745 4.296 2.640
```

Calculated values
The calculation puts the relative energy among the computed polymorphs at 56 meV per atom. The calculation puts the total DFT energy (no corrections) at -2.170 eV per atom. As for the space group: Amm2. For the volume, the calculation gives 25.75 Å³ per atom.